(1)
The following is a PBE-GGA calculation of a relaxed structure of Zn3Cu2Si3O12, from the Materials Project database.

Values from the calculation:
total moment = 0.2000 μB/atom
symmetry = Ia-3d (230)
ΔE_f = -2.048 eV per atom
final energy = -481.4 eV for the cell shown

Cell: 10.1738 10.1738 10.1738 Å, 109.47 109.47 109.47°
Element x y z (fractional)
Zn  0.1250  0.2500  0.3750
Zn  0.1250  0.3750  0.7500
Zn  0.2500  0.3750  0.1250
Zn  0.2500  0.8750  0.6250
Zn  0.3750  0.1250  0.2500
Zn  0.3750  0.7500  0.1250
Zn  0.6250  0.2500  0.8750
Zn  0.6250  0.8750  0.7500
Zn  0.7500  0.1250  0.3750
Zn  0.7500  0.6250  0.8750
Zn  0.8750  0.6250  0.2500
Zn  0.8750  0.7500  0.6250
Cu  0.0000  0.0000  0.0000
Cu  0.0000  0.0000  0.5000
Cu  0.0000  0.5000  0.0000
Cu  0.0000  0.5000  0.5000
Cu  0.5000  0.0000  0.0000
Cu  0.5000  0.0000  0.5000
Cu  0.5000  0.5000  0.0000
Cu  0.5000  0.5000  0.5000
Si  0.1250  0.7500  0.8750
Si  0.1250  0.8750  0.2500
Si  0.2500  0.1250  0.8750
Si  0.2500  0.6250  0.3750
Si  0.3750  0.2500  0.6250
Si  0.3750  0.6250  0.7500
Si  0.6250  0.3750  0.2500
Si  0.6250  0.7500  0.3750
Si  0.7500  0.3750  0.6250
Si  0.7500  0.8750  0.1250
Si  0.8750  0.1250  0.7500
Si  0.8750  0.2500  0.1250
O  0.0200  0.2097  0.1244
O  0.0200  0.3103  0.8956
O  0.0853  0.7097  0.6897
O  0.0853  0.8756  0.3956
O  0.1044  0.6244  0.4147
O  0.1044  0.9800  0.6897
O  0.1244  0.0200  0.2097
O  0.1244  0.6044  0.9147
O  0.1897  0.2097  0.5853
O  0.1897  0.4800  0.6044
O  0.2097  0.1244  0.0200
O  0.2097  0.5853  0.1897
O  0.2903  0.3103  0.9147
O  0.2903  0.4800  0.3756
O  0.3103  0.8956  0.0200
O  0.3103  0.9147  0.2903
O  0.3756  0.2903  0.4800
O  0.3756  0.5853  0.8956
O  0.3956  0.0853  0.8756
O  0.3956  0.8103  0.5200
O  0.4147  0.1044  0.6244
O  0.4147  0.8103  0.7903
O  0.4800  0.3756  0.2903
O  0.4800  0.6044  0.1897
O  0.5200  0.3956  0.8103
O  0.5200  0.6244  0.7097
O  0.5853  0.1897  0.2097
O  0.5853  0.8956  0.3756
O  0.6044  0.1897  0.4800
O  0.6044  0.9147  0.1244
O  0.6244  0.4147  0.1044
O  0.6244  0.7097  0.5200
O  0.6897  0.0853  0.7097
O  0.6897  0.1044  0.9800
O  0.7097  0.5200  0.6244
O  0.7097  0.6897  0.0853
O  0.7903  0.4147  0.8103
O  0.7903  0.8756  0.9800
O  0.8103  0.5200  0.3956
O  0.8103  0.7903  0.4147
O  0.8756  0.3956  0.0853
O  0.8756  0.9800  0.7903
O  0.8956  0.0200  0.3103
O  0.8956  0.3756  0.5853
O  0.9147  0.1244  0.6044
O  0.9147  0.2903  0.3103
O  0.9800  0.6897  0.1044
O  0.9800  0.7903  0.8756

=====

(2)
The following is a PBE-GGA calculation of a relaxed structure of Zn3Cu2Si4O14, from the Materials Project database.

Values from the calculation:
total moment = 0.0000 μB/atom
symmetry = C2/c (15)
ΔE_f = -2.275 eV per atom
final energy = -291.3 eV for the cell shown

Cell: 9.5321 9.5321 9.9765 Å, 121.21 121.21 47.50°
Element x y z (fractional)
Zn  0.1124  0.8876  0.7500
Zn  0.2644  0.4387  0.5698
Zn  0.4387  0.2644  0.0698
Zn  0.5613  0.7356  0.9302
Zn  0.7356  0.5613  0.4302
Zn  0.8876  0.1124  0.2500
Cu  0.2744  0.7256  0.2500
Cu  0.5000  0.5000  0.0000
Cu  0.5000  0.5000  0.5000
Cu  0.7256  0.2744  0.7500
Si  0.0041  0.7591  0.3691
Si  0.0708  0.5606  0.8259
Si  0.2409  0.9959  0.1309
Si  0.4394  0.9292  0.6741
Si  0.5606  0.0708  0.3259
Si  0.7591  0.0041  0.8691
Si  0.9292  0.4394  0.1741
Si  0.9959  0.2409  0.6309
O  0.0041  0.5725  0.2128
O  0.0433  0.8608  0.3116
O  0.0639  0.5593  0.6617
O  0.0856  0.2106  0.0893
O  0.1392  0.9567  0.1884
O  0.1679  0.6937  0.5386
O  0.2106  0.0856  0.5893
O  0.2920  0.4709  0.9589
O  0.3063  0.8321  0.9614
O  0.3839  0.4946  0.2838
O  0.4275  0.9959  0.2872
O  0.4407  0.9361  0.8383
O  0.4709  0.2920  0.4589
O  0.4946  0.3839  0.7838
O  0.5054  0.6161  0.2162
O  0.5291  0.7080  0.5411
O  0.5593  0.0639  0.1617
O  0.5725  0.0041  0.7128
O  0.6161  0.5054  0.7162
O  0.6937  0.1679  0.0386
O  0.7080  0.5291  0.0411
O  0.7894  0.9144  0.4107
O  0.8321  0.3063  0.4614
O  0.8608  0.0433  0.8116
O  0.9144  0.7894  0.9107
O  0.9361  0.4407  0.3383
O  0.9567  0.1392  0.6884
O  0.9959  0.4275  0.7872

=====

(3)
The following is a PBE-GGA calculation of a relaxed structure of ZnCuSi4O10, from the Materials Project database.

Values from the calculation:
total moment = 0.0536 μB/atom
symmetry = P4/ncc (130)
ΔE_f = -2.706 eV per atom
final energy = -451.9 eV for the cell shown

Cell: 7.2572 7.2572 14.9545 Å, 90.00 90.00 90.00°
Element x y z (fractional)
Zn  0.2500  0.7500  0.0000
Zn  0.2500  0.7500  0.5000
Zn  0.7500  0.2500  0.0000
Zn  0.7500  0.2500  0.5000
Cu  0.2500  0.2500  0.0732
Cu  0.2500  0.2500  0.5732
Cu  0.7500  0.7500  0.4268
Cu  0.7500  0.7500  0.9268
Si  0.0084  0.5842  0.1447
Si  0.0084  0.9158  0.6447
Si  0.0842  0.5084  0.3553
Si  0.0842  0.9916  0.8553
Si  0.4158  0.5084  0.8553
Si  0.4158  0.9916  0.3553
Si  0.4916  0.5842  0.6447
Si  0.4916  0.9158  0.1447
Si  0.5084  0.0842  0.8553
Si  0.5084  0.4158  0.3553
Si  0.5842  0.0084  0.6447
Si  0.5842  0.4916  0.1447
Si  0.9158  0.0084  0.1447
Si  0.9158  0.4916  0.6447
Si  0.9916  0.0842  0.3553
Si  0.9916  0.4158  0.8553
O  0.0011  0.6950  0.6245
O  0.0011  0.8050  0.1245
O  0.0119  0.6661  0.4240
O  0.0119  0.8339  0.9240
O  0.0514  0.5514  0.2500
O  0.0514  0.9486  0.7500
O  0.1661  0.5119  0.0760
O  0.1661  0.9881  0.5760
O  0.1950  0.5011  0.8755
O  0.1950  0.9989  0.3755
O  0.3050  0.5011  0.3755
O  0.3050  0.9989  0.8755
O  0.3339  0.5119  0.5760
O  0.3339  0.9881  0.0760
O  0.4486  0.5514  0.7500
O  0.4486  0.9486  0.2500
O  0.4881  0.6661  0.9240
O  0.4881  0.8339  0.4240
O  0.4989  0.6950  0.1245
O  0.4989  0.8050  0.6245
O  0.5011  0.1950  0.3755
O  0.5011  0.3050  0.8755
O  0.5119  0.1661  0.5760
O  0.5119  0.3339  0.0760
O  0.5514  0.0514  0.7500
O  0.5514  0.4486  0.2500
O  0.6661  0.0119  0.9240
O  0.6661  0.4881  0.4240
O  0.6950  0.0011  0.1245
O  0.6950  0.4989  0.6245
O  0.8050  0.0011  0.6245
O  0.8050  0.4989  0.1245
O  0.8339  0.0119  0.4240
O  0.8339  0.4881  0.9240
O  0.9486  0.0514  0.2500
O  0.9486  0.4486  0.7500
O  0.9881  0.1661  0.0760
O  0.9881  0.3339  0.5760
O  0.9989  0.1950  0.8755
O  0.9989  0.3050  0.3755

=====

(4)
The following is a PBE-GGA calculation of a relaxed structure of SmCuO2, from the Materials Project database.

Values from the calculation:
symmetry = R-3m (166)
ΔE_f = -2.657 eV per atom
final energy = -28.0 eV for the cell shown

Cell: 6.1035 6.1035 6.1035 Å, 35.13 35.13 35.13°
Element x y z (fractional)
Sm  0.0000  0.0000  0.0000
Cu  0.5000  0.5000  0.5000
O  0.3937  0.3937  0.3937
O  0.6063  0.6063  0.6063

=====

(5)
The following is a PBE-GGA calculation of a relaxed structure of Sm2Ti12Cu9O36, from the Materials Project database.

Values from the calculation:
total moment = 0.1526 μB/atom
symmetry = P-3 (147)
ΔE_f = -2.720 eV per atom
final energy = -454.9 eV for the cell shown

Cell: 10.5271 10.5271 6.4692 Å, 90.00 90.00 120.00°
Element x y z (fractional)
Sm  0.3333  0.6667  0.3292
Sm  0.6667  0.3333  0.6708
Ti  0.0000  0.0000  0.5000
Ti  0.0000  0.5000  0.5000
Ti  0.1576  0.8395  0.1634
Ti  0.1605  0.3181  0.1634
Ti  0.3181  0.1576  0.8366
Ti  0.3333  0.6667  0.8401
Ti  0.5000  0.0000  0.5000
Ti  0.5000  0.5000  0.5000
Ti  0.6667  0.3333  0.1599
Ti  0.6819  0.8424  0.1634
Ti  0.8395  0.6819  0.8366
Ti  0.8424  0.1605  0.8366
Cu  0.0000  0.5000  0.0000
Cu  0.1684  0.3367  0.6621
Cu  0.1683  0.8316  0.6621
Cu  0.3367  0.1683  0.3379
Cu  0.5000  0.0000  0.0000
Cu  0.5000  0.5000  0.0000
Cu  0.6633  0.8317  0.6621
Cu  0.8317  0.1684  0.3379
Cu  0.8316  0.6633  0.3379
O  0.0167  0.8519  0.3304
O  0.0444  0.7750  0.9115
O  0.0751  0.6255  0.2502
O  0.1168  0.4094  0.4135
O  0.1481  0.1648  0.3304
O  0.1648  0.0167  0.6696
O  0.1758  0.6493  0.6475
O  0.1923  0.5087  0.0158
O  0.2250  0.2694  0.9115
O  0.2694  0.0444  0.0885
O  0.2926  0.8832  0.4135
O  0.3164  0.8077  0.0158
O  0.3507  0.5265  0.6475
O  0.3745  0.4496  0.2502
O  0.4094  0.2926  0.5865
O  0.4496  0.0751  0.7498
O  0.4735  0.8242  0.6475
O  0.4913  0.6836  0.0158
O  0.5087  0.3164  0.9842
O  0.5265  0.1758  0.3525
O  0.5504  0.9249  0.2502
O  0.5906  0.7074  0.4135
O  0.6255  0.5504  0.7498
O  0.6493  0.4735  0.3525
O  0.6836  0.1923  0.9842
O  0.7074  0.1168  0.5865
O  0.7306  0.9556  0.9115
O  0.7750  0.7306  0.0885
O  0.8077  0.4913  0.9842
O  0.8242  0.3507  0.3525
O  0.8352  0.9833  0.3304
O  0.8519  0.8352  0.6696
O  0.8832  0.5906  0.5865
O  0.9249  0.3745  0.7498
O  0.9556  0.2250  0.0885
O  0.9833  0.1481  0.6696

=====

(6)
The following is a PBE-GGA calculation of a relaxed structure of CuSnO12, from the Materials Project database.

Values from the calculation:
total moment = 0.5000 μB/atom
symmetry = P4_2/nnm (134)
ΔE_f = -0.013 eV per atom
final energy = -131.5 eV for the cell shown

Cell: 7.9174 7.9174 8.3650 Å, 90.00 90.00 90.00°
Element x y z (fractional)
Cu  0.2500  0.7500  0.2500
Cu  0.7500  0.2500  0.7500
Sn  0.2500  0.7500  0.7500
Sn  0.7500  0.2500  0.2500
O  0.0781  0.1888  0.7034
O  0.0781  0.3112  0.7966
O  0.1857  0.6857  0.4857
O  0.1857  0.8143  0.0143
O  0.1888  0.0781  0.2966
O  0.1888  0.4219  0.2034
O  0.3112  0.0781  0.2034
O  0.3112  0.4219  0.2966
O  0.3143  0.6857  0.0143
O  0.3143  0.8143  0.4857
O  0.4219  0.1888  0.7966
O  0.4219  0.3112  0.7034
O  0.5781  0.6888  0.2966
O  0.5781  0.8112  0.2034
O  0.6857  0.1857  0.5143
O  0.6857  0.3143  0.9857
O  0.6888  0.5781  0.7034
O  0.6888  0.9219  0.7966
O  0.8112  0.5781  0.7966
O  0.8112  0.9219  0.7034
O  0.8143  0.1857  0.9857
O  0.8143  0.3143  0.5143
O  0.9219  0.6888  0.2034
O  0.9219  0.8112  0.2966

=====

(7)
The following is a PBE-GGA calculation of a relaxed structure of Cu6SnO8, from the Materials Project database.

Values from the calculation:
symmetry = Fm-3m (225)
ΔE_f = -1.162 eV per atom
final energy = -80.1 eV for the cell shown

Cell: 6.5387 6.5387 6.5387 Å, 60.00 60.00 60.00°
Element x y z (fractional)
Cu  0.0000  0.0000  0.5000
Cu  0.0000  0.5000  0.0000
Cu  0.0000  0.5000  0.5000
Cu  0.5000  0.0000  0.0000
Cu  0.5000  0.0000  0.5000
Cu  0.5000  0.5000  0.0000
Sn  0.0000  0.0000  0.0000
O  0.1403  0.1403  0.1403
O  0.1403  0.1403  0.5790
O  0.1403  0.5790  0.1403
O  0.4210  0.8597  0.8597
O  0.5790  0.1403  0.1403
O  0.8597  0.4210  0.8597
O  0.8597  0.8597  0.4210
O  0.8597  0.8597  0.8597

=====

(8)
The following is a PBE-GGA calculation of a relaxed structure of Sr2Cu2SnO7, from the Materials Project database.

Values from the calculation:
total moment = 0.0174 μB/atom
symmetry = Ima2 (46)
ΔE_f = -1.842 eV per atom
final energy = -135.0 eV for the cell shown

Cell: 13.6117 13.6117 13.6117 Å, 31.26 157.98 158.09°
Element x y z (fractional)
Sr  0.0044  0.1411  0.1455
Sr  0.0044  0.3589  0.3632
Sr  0.9956  0.6411  0.6368
Sr  0.9956  0.8589  0.8545
Cu  0.4983  0.5598  0.0585
Cu  0.4983  0.9398  0.4385
Cu  0.5013  0.0598  0.5615
Cu  0.5013  0.4398  0.9415
Sn  0.4066  0.7012  0.2054
Sn  0.4958  0.2012  0.7946
O  0.0002  0.1744  0.6758
O  0.0001  0.3264  0.8258
O  0.0001  0.6743  0.1737
O  0.0002  0.8244  0.3259
O  0.1238  0.8038  0.8200
O  0.4910  0.1952  0.6521
O  0.4910  0.3389  0.7958
O  0.4986  0.3244  0.3242
O  0.4986  0.6744  0.6741
O  0.5006  0.1743  0.1742
O  0.5006  0.8264  0.8263
O  0.5430  0.6952  0.2042
O  0.5430  0.8389  0.3479
O  0.9838  0.3038  0.1800

=====

(9)
The following is a PBE-GGA calculation of a relaxed structure of SrCu3Sn4O12, from the Materials Project database.

Values from the calculation:
total moment = 0.1513 μB/atom
symmetry = Im-3 (204)
ΔE_f = -1.844 eV per atom
final energy = -118.0 eV for the cell shown

Cell: 6.7553 6.7553 6.7553 Å, 109.47 109.47 109.47°
Element x y z (fractional)
Sr  0.0000  0.0000  0.0000
Cu  0.0000  0.5000  0.5000
Cu  0.5000  0.0000  0.5000
Cu  0.5000  0.5000  0.0000
Sn  0.0000  0.0000  0.5000
Sn  0.0000  0.5000  0.0000
Sn  0.5000  0.0000  0.0000
Sn  0.5000  0.5000  0.5000
O  0.1380  0.8286  0.3094
O  0.1714  0.3094  0.4807
O  0.1714  0.6906  0.8620
O  0.3094  0.1380  0.8286
O  0.3094  0.4807  0.1714
O  0.4807  0.1714  0.3094
O  0.5193  0.8286  0.6906
O  0.6906  0.5193  0.8286
O  0.6906  0.8620  0.1714
O  0.8286  0.3094  0.1380
O  0.8286  0.6906  0.5193
O  0.8620  0.1714  0.6906

=====

(10)
The following is a PBE-GGA calculation of a relaxed structure of Sr2Cu2O5, from the Materials Project database.

Values from the calculation:
total moment = 0.0000 μB/atom
symmetry = Ima2 (46)
ΔE_f = -1.907 eV per atom
energy relative to the lowest polymorph listed for this composition = 36 meV/atom
final energy = -100.1 eV for the cell shown

Cell: 8.8604 8.8604 8.8604 Å, 52.31 143.71 143.64°
Element x y z (fractional)
Sr  0.0053  0.1094  0.1146
Sr  0.0053  0.3906  0.3959
Sr  0.9947  0.6094  0.6041
Sr  0.9947  0.8906  0.8854
Cu  0.4737  0.7802  0.1936
Cu  0.4991  0.4991  0.0000
Cu  0.4991  0.9991  0.5000
Cu  0.5866  0.2802  0.8064
O  0.9998  0.2565  0.7524
O  0.9998  0.7474  0.2433
O  0.4616  0.1318  0.6066
O  0.4616  0.3550  0.8298
O  0.5041  0.2474  0.2476
O  0.5041  0.7565  0.7567
O  0.5253  0.6318  0.1702
O  0.5253  0.8550  0.3934
O  0.7158  0.1049  0.1109
O  0.9940  0.6049  0.8891